# 1
Density functional theory data (PBE) for Sr13Mg2Si20 after structural relaxation.

Unit cell a=9.838 b=15.281 c=23.351 alpha=90.00 beta=90.00 gamma=90.00
Positions (direct):
Mg  0.000  0.071  0.291
Mg  0.000  0.929  0.709
Mg  0.000  0.571  0.209
Mg  0.000  0.429  0.791
Mg  0.500  0.288  0.166
Mg  0.500  0.712  0.834
Mg  0.500  0.788  0.334
Mg  0.500  0.212  0.666
Si  0.000  0.553  0.087
Si  0.000  0.447  0.913
Si  0.000  0.053  0.413
Si  0.000  0.947  0.587
Si  0.000  0.669  0.018
Si  0.000  0.331  0.982
Si  0.000  0.169  0.482
Si  0.000  0.831  0.518
Si  0.000  0.817  0.056
Si  0.000  0.183  0.944
Si  0.000  0.317  0.444
Si  0.000  0.683  0.556
Si  0.000  0.860  0.154
Si  0.000  0.140  0.846
Si  0.000  0.360  0.346
Si  0.000  0.640  0.654
Si  0.000  0.255  0.270
Si  0.000  0.745  0.730
Si  0.000  0.755  0.230
Si  0.000  0.245  0.770
Si  0.000  0.011  0.179
Si  0.000  0.989  0.821
Si  0.000  0.511  0.321
Si  0.000  0.489  0.679
Si  0.000  0.126  0.109
Si  0.000  0.874  0.891
Si  0.000  0.626  0.391
Si  0.000  0.374  0.609
Si  0.000  0.926  0.986
Si  0.000  0.074  0.014
Si  0.000  0.426  0.514
Si  0.000  0.574  0.486
Si  0.198  0.514  0.142
Si  0.198  0.486  0.858
Si  0.802  0.014  0.358
Si  0.802  0.986  0.642
Si  0.802  0.486  0.858
Si  0.802  0.514  0.142
Si  0.198  0.986  0.642
Si  0.198  0.014  0.358
Si  0.302  0.379  0.119
Si  0.302  0.621  0.881
Si  0.698  0.879  0.381
Si  0.698  0.121  0.619
Si  0.698  0.621  0.881
Si  0.698  0.379  0.119
Si  0.302  0.121  0.619
Si  0.302  0.879  0.381
Si  0.500  0.614  0.941
Si  0.500  0.386  0.059
Si  0.500  0.114  0.559
Si  0.500  0.886  0.441
Si  0.500  0.660  0.039
Si  0.500  0.340  0.961
Si  0.500  0.160  0.461
Si  0.500  0.840  0.539
Si  0.500  0.816  0.056
Si  0.500  0.184  0.944
Si  0.500  0.316  0.444
Si  0.500  0.684  0.556
Si  0.500  0.859  0.153
Si  0.500  0.141  0.847
Si  0.500  0.359  0.347
Si  0.500  0.641  0.653
Si  0.500  0.241  0.281
Si  0.500  0.759  0.719
Si  0.500  0.741  0.219
Si  0.500  0.259  0.781
Si  0.500  0.994  0.814
Si  0.500  0.006  0.186
Si  0.500  0.494  0.686
Si  0.500  0.506  0.314
Si  0.500  0.882  0.886
Si  0.500  0.118  0.114
Si  0.500  0.382  0.614
Si  0.500  0.618  0.386
Si  0.500  0.927  0.985
Si  0.500  0.073  0.015
Si  0.500  0.427  0.515
Si  0.500  0.573  0.485
Sr  0.748  0.000  0.500
Sr  0.252  0.500  0.000
Sr  0.252  0.000  0.500
Sr  0.748  0.500  0.000
Sr  0.000  0.655  0.876
Sr  0.000  0.345  0.124
Sr  0.000  0.155  0.624
Sr  0.000  0.845  0.376
Sr  0.500  0.541  0.157
Sr  0.500  0.459  0.843
Sr  0.500  0.041  0.343
Sr  0.500  0.959  0.657
Sr  0.264  0.777  0.964
Sr  0.264  0.223  0.036
Sr  0.736  0.277  0.536
Sr  0.736  0.723  0.464
Sr  0.736  0.223  0.036
Sr  0.736  0.777  0.964
Sr  0.264  0.723  0.464
Sr  0.264  0.277  0.536
Sr  0.237  0.713  0.124
Sr  0.237  0.287  0.876
Sr  0.763  0.213  0.376
Sr  0.763  0.787  0.624
Sr  0.763  0.287  0.876
Sr  0.763  0.713  0.124
Sr  0.237  0.787  0.624
Sr  0.237  0.213  0.376
Sr  0.250  0.970  0.085
Sr  0.250  0.030  0.915
Sr  0.750  0.470  0.415
Sr  0.750  0.530  0.585
Sr  0.750  0.030  0.915
Sr  0.750  0.970  0.085
Sr  0.250  0.530  0.585
Sr  0.250  0.470  0.415
Sr  0.249  0.650  0.295
Sr  0.249  0.350  0.705
Sr  0.751  0.150  0.205
Sr  0.751  0.850  0.795
Sr  0.751  0.350  0.705
Sr  0.751  0.650  0.295
Sr  0.249  0.850  0.795
Sr  0.249  0.150  0.205
Sr  0.249  0.395  0.256
Sr  0.249  0.605  0.744
Sr  0.751  0.895  0.244
Sr  0.751  0.105  0.756
Sr  0.751  0.605  0.744
Sr  0.751  0.395  0.256
Sr  0.249  0.105  0.756
Sr  0.249  0.895  0.244

Results
The value obtained for the spin magnetization is 0.01 μB per cell.


# 2
Density functional theory data (PBE) for Dy3Ga8Ir3 after structural relaxation.

Unit cell a=8.174 b=8.174 c=8.174 alpha=150.19 beta=105.55 gamma=82.19
Positions (direct):
Dy  0.500  0.500  0.000
Dy  0.168  0.168  0.000
Dy  0.832  0.832  0.000
Ga  0.089  0.375  0.715
Ga  0.911  0.625  0.285
Ga  0.660  0.375  0.285
Ga  0.340  0.625  0.715
Ga  0.796  0.168  0.628
Ga  0.204  0.832  0.372
Ga  0.539  0.168  0.372
Ga  0.461  0.832  0.628
Ir  0.000  0.500  0.500
Ir  0.781  0.000  0.781
Ir  0.219  0.000  0.219

Results
The value obtained for the spin magnetization is 0.00 μB per cell.


# 3
Density functional theory data (PBE) for Nd3GaCoS7 after structural relaxation.

Unit cell a=9.921 b=9.921 c=6.112 alpha=90.00 beta=90.00 gamma=120.00
Positions (direct):
Nd  0.778  0.628  0.180
Nd  0.372  0.150  0.180
Nd  0.850  0.222  0.180
Nd  0.222  0.372  0.680
Nd  0.628  0.850  0.680
Nd  0.150  0.778  0.680
Ga  0.333  0.667  0.104
Ga  0.667  0.333  0.604
Co  0.000  0.000  0.491
Co  0.000  0.000  0.991
S  0.910  0.481  0.455
S  0.519  0.428  0.455
S  0.572  0.090  0.455
S  0.090  0.519  0.955
S  0.481  0.572  0.955
S  0.428  0.910  0.955
S  0.333  0.667  0.472
S  0.667  0.333  0.972
S  0.781  0.911  0.248
S  0.089  0.871  0.248
S  0.129  0.219  0.248
S  0.219  0.089  0.748
S  0.911  0.129  0.748
S  0.871  0.781  0.748

Results
The value obtained for the spin magnetization is 2.00 μB per cell.


# 4
Density functional theory data (PBE) for Sb2Os after structural relaxation.

Unit cell a=3.254 b=6.014 c=6.762 alpha=90.00 beta=90.00 gamma=90.00
Positions (direct):
Sb  0.500  0.318  0.858
Sb  0.500  0.682  0.142
Sb  0.000  0.182  0.358
Sb  0.000  0.818  0.642
Os  0.500  0.500  0.500
Os  0.000  0.000  0.000


Number 1: calculated total energy -4.216 eV per atom. Number 2: calculated total energy -5.271 eV per atom. Number 3: calculated total energy -5.915 eV per atom. Number 4: calculated total energy -6.511 eV per atom.